Ba7Cl2F12 | r²SCAN | relaxed

For the formation energy, the calculation gives -3.94 eV per atom. The calculation puts the density at 5060 kg/m³. Its crystal system is hexagonal. The value obtained for the volume is 413.5 Å³ per cell.

The structure belongs to space group P-6 (No. 174); the cell edges are 10.6844, 10.6844 and 4.1829 Å and the angles 90.00°, 90.00° and 120.00°. The inequivalent atoms are Ba at (0.0000, 0.0000, 0.0000), Ba at (0.1136, 0.4016, 0.5000), Ba at (0.4096, 0.2996, 0.0000), Cl at (0.3333, 0.6667, 0.0000), Cl at (0.6667, 0.3333, 0.5000), F at (0.0496, 0.6129, 0.5000), F at (0.1211, 0.8441, 0.0000), F at (0.2155, 0.0981, 0.5000) and F at (0.4306, 0.0624, 0.0000).